No. 1
First-principles (PBE with a Hubbard U) data for an optimized crystal structure of Rb2CrAuF6, as listed in the Materials Project.

Cell: 6.257 6.257 6.257 Å, 60.00 60.00 60.00°
Fractional coordinates of all 10 atoms:
1 Rb 0.250 0.250 0.250
2 Rb 0.750 0.750 0.750
3 Cr 0.000 0.000 0.000
4 Au 0.500 0.500 0.500
5 F 0.220 0.220 0.780
6 F 0.220 0.780 0.220
7 F 0.220 0.780 0.780
8 F 0.780 0.220 0.220
9 F 0.780 0.220 0.780
10 F 0.780 0.780 0.220

- Space group: Fm-3m (225)
- Formation energy from the elements: -2.551 eV/atom
- Crystal system: cubic
- Total magnetization: 0.30 μB per atom

=====

No. 2
First-principles (PBE with a Hubbard U) data for an optimized crystal structure of K2FeAuF6, as listed in the Materials Project.

Cell: 6.227 6.227 6.227 Å, 60.00 60.00 60.00°
Fractional coordinates of all 10 atoms:
1 K 0.250 0.250 0.250
2 K 0.750 0.750 0.750
3 Fe 0.000 0.000 0.000
4 Au 0.500 0.500 0.500
5 F 0.223 0.223 0.777
6 F 0.223 0.777 0.223
7 F 0.223 0.777 0.777
8 F 0.777 0.223 0.223
9 F 0.777 0.223 0.777
10 F 0.777 0.777 0.223

- Space group: Fm-3m (225)
- Formation energy from the elements: -2.372 eV/atom
- Crystal system: cubic
- Total magnetization: 0.50 μB per atom

=====

No. 3
First-principles (PBE with a Hubbard U) data for an optimized crystal structure of K2MoAuF6, as listed in the Materials Project.

Cell: 6.397 6.397 6.397 Å, 60.00 60.00 60.00°
Fractional coordinates of all 10 atoms:
1 K 0.250 0.250 0.250
2 K 0.750 0.750 0.750
3 Mo 0.000 0.000 0.000
4 Au 0.500 0.500 0.500
5 F 0.229 0.229 0.771
6 F 0.229 0.771 0.229
7 F 0.229 0.771 0.771
8 F 0.771 0.229 0.229
9 F 0.771 0.229 0.771
10 F 0.771 0.771 0.229

- Space group: Fm-3m (225)
- Formation energy from the elements: -2.375 eV/atom
- Crystal system: cubic
- Total magnetization: 0.30 μB per atom